## TbSb2Pd (PBE-GGA)

Data for crystalline TbSb2Pd at its relaxed geometry. Values from VASP.

Geometry as Quantum ESPRESSO input:
```
&SYSTEM
  ibrav = 0, nat = 8, ntyp = 3
/
ATOMIC_SPECIES
Tb 158.93 Tb.upf
Sb 121.76 Sb.upf
Pd 106.42 Pd.upf
CELL_PARAMETERS angstrom
4.495 0.000 0.000
0.000 4.495 0.000
0.000 0.000 9.483
ATOMIC_POSITIONS crystal
Tb 0.250 0.250 0.245
Tb 0.750 0.750 0.755
Sb 0.250 0.250 0.839
Sb 0.250 0.750 0.500
Sb 0.750 0.250 0.500
Sb 0.750 0.750 0.161
Pd 0.250 0.750 0.000
Pd 0.750 0.250 0.000
```



## Tb5SbPd2 (PBE-GGA)

Data for crystalline Tb5SbPd2 at its relaxed geometry. Values from VASP.

Geometry as Quantum ESPRESSO input:
```
&SYSTEM
  ibrav = 0, nat = 16, ntyp = 3
/
ATOMIC_SPECIES
Tb 158.93 Tb.upf
Sb 121.76 Sb.upf
Pd 106.42 Pd.upf
CELL_PARAMETERS angstrom
-3.915 3.915 6.798
3.915 -3.915 6.798
3.915 3.915 -6.798
ATOMIC_POSITIONS crystal
Tb 0.000 0.000 0.000
Tb 0.014 0.514 0.813
Tb 0.201 0.014 0.500
Tb 0.299 0.799 0.813
Tb 0.486 0.299 0.500
Tb 0.500 0.500 0.000
Tb 0.514 0.701 0.500
Tb 0.701 0.201 0.187
Tb 0.799 0.986 0.500
Tb 0.986 0.486 0.187
Sb 0.250 0.250 0.000
Sb 0.750 0.750 0.000
Pd 0.137 0.363 0.500
Pd 0.363 0.863 0.227
Pd 0.637 0.137 0.773
Pd 0.863 0.637 0.500
```



! TmSbPd | Materials Project | PBE-GGA | optimized geometry; values from VASP
&SYSTEM
  ibrav = 0, nat = 3, ntyp = 3
/
ATOMIC_SPECIES
Tm 168.93 Tm.upf
Sb 121.76 Sb.upf
Pd 106.42 Pd.upf
CELL_PARAMETERS angstrom
0.000 3.346 3.346
3.346 0.000 3.346
3.346 3.346 0.000
ATOMIC_POSITIONS crystal
Tm 0.000 0.000 0.000
Sb 0.250 0.250 0.250
Pd 0.500 0.500 0.500
! - maximum piezoelectric response (C/m²) = 1.2



| no. | VASP energy (eV/atom) | calculated volume (Å³/atom) | ΔH_f (0 K) (meV per atom) |
| --- | --- | --- | --- |
| 1 | -5.32 | 23.950 | -803 |
| 2 | -5.47 | 26.049 | -763 |
| 3 | -5.30 | 24.981 | -705 |